K10LiZr6H4O2F35: relaxed, PBE-GGA.

Cell lengths 7.6617, 11.2455, 20.8249 Å; angles 90.00, 97.37, 90.00 degrees
Sites, in units of the cell vectors:
K 0.0060 0.0000 0.1218
K 0.0389 0.5151 0.3689
K 0.2134 0.3052 0.7342
K 0.2445 0.8030 0.9925
K 0.2670 0.9582 0.8080
K 0.2794 0.8221 0.5433
K 0.2944 0.4554 0.0506
K 0.3074 0.4757 0.5533
K 0.3265 0.9560 0.2876
K 0.3846 0.3054 0.2838
K 0.6154 0.8054 0.7162
K 0.6735 0.4560 0.7124
K 0.6926 0.9757 0.4467
K 0.7056 0.9554 0.9494
K 0.7206 0.3221 0.4567
K 0.7330 0.4582 0.1920
K 0.7555 0.3030 0.0075
K 0.7866 0.8052 0.2658
K 0.9611 0.0151 0.6311
K 0.9940 0.5000 0.8782
Li 0.4865 0.3034 0.8704
Li 0.5135 0.8034 0.1296
Zr 0.1233 0.6626 0.7014
Zr 0.2001 0.1603 0.9468
Zr 0.2066 0.1499 0.4480
Zr 0.2231 0.6519 0.2013
Zr 0.4890 0.6027 0.8717
Zr 0.4977 0.6404 0.3940
Zr 0.5023 0.1404 0.6060
Zr 0.5110 0.1027 0.1283
Zr 0.7769 0.1519 0.7987
Zr 0.7934 0.6499 0.5520
Zr 0.7999 0.6603 0.0532
Zr 0.8767 0.1626 0.2986
H 0.0291 0.2819 0.1623
H 0.0351 0.2552 0.5740
H 0.0600 0.8640 0.3983
H 0.1375 0.2476 0.1062
H 0.8625 0.7476 0.8938
H 0.9400 0.3640 0.6017
H 0.9649 0.7552 0.4260
H 0.9709 0.7819 0.8377
O 0.0287 0.2856 0.1147
O 0.0485 0.3158 0.6078
O 0.9515 0.8158 0.3922
O 0.9713 0.7856 0.8853
F 0.0070 0.7821 0.7599
F 0.0125 0.5990 0.1263
F 0.0144 0.5199 0.7397
F 0.0235 0.0688 0.9950
F 0.0264 0.5737 0.2473
F 0.0573 0.3114 0.9564
F 0.0640 0.0979 0.5199
F 0.0829 0.6275 0.5989
F 0.0925 0.8086 0.2068
F 0.0962 0.3178 0.4459
F 0.1511 0.1871 0.3420
F 0.2084 0.9805 0.4098
F 0.2450 0.8152 0.6747
F 0.2743 0.1940 0.8549
F 0.2871 0.6697 0.4434
F 0.2967 0.0957 0.6535
F 0.3021 0.6721 0.7902
F 0.3042 0.1582 0.0513
F 0.3113 0.6518 0.3070
F 0.3113 0.6791 0.1115
F 0.3234 0.5923 0.9407
F 0.3323 0.5582 0.6849
F 0.3326 0.1245 0.1937
F 0.3399 0.0072 0.9394
F 0.3428 0.4583 0.8327
F 0.3512 0.2461 0.5293
F 0.3585 0.9517 0.1014
F 0.3607 0.4949 0.2027
F 0.3973 0.0369 0.5203
F 0.4027 0.4695 0.3766
F 0.4103 0.2803 0.9607
F 0.4427 0.7642 0.2181
F 0.4471 0.1790 0.4172
F 0.4740 0.7859 0.8797
F 0.4816 0.3111 0.6386
F 0.5184 0.8111 0.3614
F 0.5260 0.2859 0.1203
F 0.5529 0.6790 0.5828
F 0.5573 0.2642 0.7819
F 0.5897 0.7803 0.0393
F 0.5973 0.9695 0.6234
F 0.6027 0.5369 0.4797
F 0.6393 0.9949 0.7973
F 0.6415 0.4517 0.8986
F 0.6488 0.7461 0.4707
F 0.6572 0.9583 0.1673
F 0.6601 0.5072 0.0606
F 0.6674 0.6245 0.8063
F 0.6677 0.0582 0.3151
F 0.6766 0.0923 0.0593
F 0.6887 0.1518 0.6930
F 0.6887 0.1791 0.8885
F 0.6958 0.6582 0.9487
F 0.6979 0.1721 0.2098
F 0.7033 0.5957 0.3465
F 0.7129 0.1697 0.5566
F 0.7257 0.6940 0.1451
F 0.7550 0.3152 0.3253
F 0.7916 0.4805 0.5902
F 0.8489 0.6871 0.6580
F 0.9038 0.8178 0.5541
F 0.9075 0.3086 0.7932
F 0.9171 0.1275 0.4011
F 0.9360 0.5979 0.4801
F 0.9427 0.8114 0.0436
F 0.9736 0.0737 0.7527
F 0.9765 0.5688 0.0050
F 0.9856 0.0199 0.2603
F 0.9875 0.0990 0.8737
F 0.9930 0.2821 0.2401

## Properties
density: 3.1 g cm⁻³
total moment: 0.078 μB/cell
energy: -5.8034 eV per atom
formation enthalpy at 0 K: -3.437 eV per atom

=====

KH4O4F: relaxed, PBE-GGA.

Cell lengths 6.1600, 12.3115, 11.3066 Å; angles 90.00, 90.00, 90.00 degrees
Sites, in units of the cell vectors:
K 0.1933 0.1295 0.0532
K 0.1933 0.3705 0.5532
K 0.3067 0.6295 0.0532
K 0.3067 0.8705 0.5532
K 0.6933 0.1295 0.4468
K 0.6933 0.3705 0.9468
K 0.8067 0.6295 0.4468
K 0.8067 0.8705 0.9468
H 0.0848 0.1270 0.6353
H 0.0848 0.3730 0.1353
H 0.1054 0.6846 0.7270
H 0.1054 0.8154 0.2270
H 0.2168 0.0129 0.7905
H 0.2168 0.4871 0.2905
H 0.2344 0.1810 0.3476
H 0.2344 0.3190 0.8476
H 0.2656 0.6810 0.3476
H 0.2656 0.8190 0.8476
H 0.2832 0.5129 0.7905
H 0.2832 0.9871 0.2905
H 0.3946 0.1846 0.7270
H 0.3946 0.3154 0.2270
H 0.4152 0.6270 0.6353
H 0.4152 0.8730 0.1353
H 0.5848 0.1270 0.8647
H 0.5848 0.3730 0.3647
H 0.6054 0.6846 0.7730
H 0.6054 0.8154 0.2730
H 0.7168 0.0129 0.7095
H 0.7168 0.4871 0.2095
H 0.7344 0.1810 0.1524
H 0.7344 0.3190 0.6524
H 0.7656 0.6810 0.1524
H 0.7656 0.8190 0.6524
H 0.7832 0.5129 0.7095
H 0.7832 0.9871 0.2095
H 0.8946 0.1846 0.7730
H 0.8946 0.3154 0.2730
H 0.9152 0.6270 0.8647
H 0.9152 0.8730 0.3647
O 0.1095 0.6608 0.6414
O 0.1095 0.8392 0.1414
O 0.1315 0.1186 0.3339
O 0.1315 0.3814 0.8339
O 0.2173 0.0790 0.6450
O 0.2173 0.4210 0.1450
O 0.2296 0.5266 0.3675
O 0.2296 0.9734 0.8675
O 0.2704 0.0266 0.3675
O 0.2704 0.4734 0.8675
O 0.2827 0.5790 0.6450
O 0.2827 0.9210 0.1450
O 0.3685 0.6186 0.3339
O 0.3685 0.8814 0.8339
O 0.3905 0.1608 0.6414
O 0.3905 0.3392 0.1414
O 0.6095 0.6608 0.8586
O 0.6095 0.8392 0.3586
O 0.6315 0.1186 0.1661
O 0.6315 0.3814 0.6661
O 0.7173 0.0790 0.8550
O 0.7173 0.4210 0.3550
O 0.7296 0.5266 0.1325
O 0.7296 0.9734 0.6325
O 0.7704 0.0266 0.1325
O 0.7704 0.4734 0.6325
O 0.7827 0.5790 0.8550
O 0.7827 0.9210 0.3550
O 0.8685 0.6186 0.1661
O 0.8685 0.8814 0.6661
O 0.8905 0.1608 0.8586
O 0.8905 0.3392 0.3586
F 0.0981 0.7178 0.8619
F 0.0981 0.7822 0.3619
F 0.4019 0.2178 0.8619
F 0.4019 0.2822 0.3619
F 0.5981 0.7178 0.6381
F 0.5981 0.7822 0.1381
F 0.9019 0.2178 0.6381
F 0.9019 0.2822 0.1381

## Properties
density: 2.0 g cm⁻³
total moment: 0.000 μB/cell
energy: -4.6345 eV per atom
formation enthalpy at 0 K: -1.317 eV per atom
offset from the most stable computed form: 0.0 meV per atom

=====

KH8O4F: relaxed, PBE-GGA.

Cell lengths 6.8275, 13.3179, 6.6551 Å; angles 90.00, 90.80, 90.00 degrees
Sites, in units of the cell vectors:
K 0.1611 0.1297 0.4979
K 0.1611 0.3703 0.9979
K 0.8389 0.6297 0.0021
K 0.8389 0.8703 0.5021
H 0.0921 0.6628 0.4435
H 0.0921 0.8372 0.9435
H 0.1263 0.1301 0.0193
H 0.1263 0.3699 0.5193
H 0.2449 0.5870 0.7543
H 0.2449 0.9130 0.2543
H 0.3024 0.6084 0.9779
H 0.3024 0.8916 0.4779
H 0.3121 0.5095 0.4154
H 0.3121 0.9905 0.9154
H 0.4162 0.7465 0.5980
H 0.4162 0.7535 0.0980
H 0.4313 0.0907 0.9021
H 0.4313 0.4093 0.4021
H 0.4331 0.6687 0.2639
H 0.4331 0.8313 0.7639
H 0.5669 0.1687 0.2361
H 0.5669 0.3313 0.7361
H 0.5687 0.5907 0.5979
H 0.5687 0.9093 0.0979
H 0.5838 0.2465 0.9020
H 0.5838 0.2535 0.4020
H 0.6879 0.0095 0.0846
H 0.6879 0.4905 0.5846
H 0.6976 0.1084 0.5221
H 0.6976 0.3916 0.0221
H 0.7551 0.0870 0.7457
H 0.7551 0.4130 0.2457
H 0.8737 0.6301 0.4807
H 0.8737 0.8699 0.9807
H 0.9079 0.1628 0.0565
H 0.9079 0.3372 0.5565
O 0.0449 0.1755 0.1008
O 0.0449 0.3245 0.6008
O 0.2088 0.5695 0.8925
O 0.2088 0.9305 0.3925
O 0.3004 0.0615 0.8719
O 0.3004 0.4385 0.3719
O 0.4675 0.6849 0.1238
O 0.4675 0.8151 0.6238
O 0.5325 0.1849 0.3762
O 0.5325 0.3151 0.8762
O 0.6996 0.5615 0.6281
O 0.6996 0.9385 0.1281
O 0.7912 0.0695 0.6075
O 0.7912 0.4305 0.1075
O 0.9551 0.6755 0.3992
O 0.9551 0.8245 0.8992
F 0.3443 0.6325 0.5107
F 0.3443 0.8675 0.0107
F 0.6557 0.1325 0.9893
F 0.6557 0.3675 0.4893

## Properties
density: 1.4 g cm⁻³
total moment: 0.002 μB/cell
energy: -4.8485 eV per atom
formation enthalpy at 0 K: -1.509 eV per atom

=====

KH4O4F: relaxed, PBE-GGA.

Cell lengths 6.2142, 12.1978, 13.0233 Å; angles 90.00, 90.00, 90.00 degrees
Sites, in units of the cell vectors:
K 0.2311 0.1398 0.1024
K 0.2311 0.3602 0.6024
K 0.2689 0.6398 0.1024
K 0.2689 0.8602 0.6024
K 0.7311 0.1398 0.3976
K 0.7311 0.3602 0.8976
K 0.7689 0.6398 0.3976
K 0.7689 0.8602 0.8976
H 0.0677 0.1078 0.6952
H 0.0677 0.3922 0.1952
H 0.1836 0.1708 0.3208
H 0.1836 0.3292 0.8208
H 0.2016 0.5025 0.2538
H 0.2016 0.9975 0.7538
H 0.2248 0.6258 0.7923
H 0.2248 0.8742 0.2923
H 0.2752 0.1258 0.7923
H 0.2752 0.3742 0.2923
H 0.2984 0.0025 0.2538
H 0.2984 0.4975 0.7538
H 0.3164 0.6708 0.3208
H 0.3164 0.8292 0.8208
H 0.4323 0.6078 0.6952
H 0.4323 0.8922 0.1952
H 0.5677 0.1078 0.8048
H 0.5677 0.3922 0.3048
H 0.6836 0.1708 0.1792
H 0.6836 0.3292 0.6792
H 0.7016 0.5025 0.2462
H 0.7016 0.9975 0.7462
H 0.7248 0.6258 0.7077
H 0.7248 0.8742 0.2077
H 0.7752 0.1258 0.7077
H 0.7752 0.3742 0.2077
H 0.7984 0.0025 0.2462
H 0.7984 0.4975 0.7462
H 0.8164 0.6708 0.1792
H 0.8164 0.8292 0.6792
H 0.9323 0.6078 0.8048
H 0.9323 0.8922 0.3048
O 0.1138 0.1040 0.2962
O 0.1138 0.3960 0.7962
O 0.1624 0.6504 0.5185
O 0.1624 0.8496 0.0185
O 0.2029 0.0761 0.7277
O 0.2029 0.4239 0.2277
O 0.2421 0.0698 0.4786
O 0.2421 0.4302 0.9786
O 0.2579 0.5698 0.4786
O 0.2579 0.9302 0.9786
O 0.2971 0.5761 0.7277
O 0.2971 0.9239 0.2277
O 0.3376 0.1504 0.5185
O 0.3376 0.3496 0.0185
O 0.3862 0.6040 0.2962
O 0.3862 0.8960 0.7962
O 0.6138 0.1040 0.2038
O 0.6138 0.3960 0.7038
O 0.6624 0.6504 0.9815
O 0.6624 0.8496 0.4815
O 0.7029 0.0761 0.7723
O 0.7029 0.4239 0.2723
O 0.7421 0.0698 0.0214
O 0.7421 0.4302 0.5214
O 0.7579 0.5698 0.0214
O 0.7579 0.9302 0.5214
O 0.7971 0.5761 0.7723
O 0.7971 0.9239 0.2723
O 0.8376 0.1504 0.9815
O 0.8376 0.3496 0.4815
O 0.8862 0.6040 0.2038
O 0.8862 0.8960 0.7038
F 0.1164 0.6707 0.8594
F 0.1164 0.8293 0.3594
F 0.3836 0.1707 0.8594
F 0.3836 0.3293 0.3594
F 0.6164 0.6707 0.6406
F 0.6164 0.8293 0.1406
F 0.8836 0.1707 0.6406
F 0.8836 0.3293 0.1406

## Properties
density: 1.7 g cm⁻³
total moment: 0.000 μB/cell
energy: -4.6072 eV per atom
formation enthalpy at 0 K: -1.289 eV per atom
offset from the most stable computed form: 27.3 meV per atom

=====

KPHO3F: relaxed, PBE-GGA.

Cell lengths 7.4167, 14.2669, 7.7622 Å; angles 90.00, 90.29, 90.00 degrees
Sites, in units of the cell vectors:
K 0.0086 0.0000 0.3101
K 0.3038 0.7355 0.9073
K 0.3054 0.4956 0.2191
K 0.3771 0.2679 0.5736
K 0.6229 0.7679 0.4264
K 0.6946 0.9956 0.7809
K 0.6962 0.2355 0.0927
K 0.9914 0.5000 0.6899
P 0.1470 0.7378 0.3796
P 0.1980 0.2532 0.0967
P 0.2030 0.9896 0.7868
P 0.4458 0.5097 0.7167
P 0.5542 0.0097 0.2833
P 0.7970 0.4896 0.2132
P 0.8020 0.7532 0.9033
P 0.8530 0.2378 0.6204
H 0.0430 0.3137 0.8765
H 0.0761 0.0913 0.9831
H 0.1878 0.8501 0.5776
H 0.3715 0.9445 0.0898
H 0.6285 0.4445 0.9102
H 0.8122 0.3501 0.4224
H 0.9239 0.5913 0.0169
H 0.9570 0.8137 0.1235
O 0.0029 0.2996 0.6912
O 0.0503 0.0373 0.8949
O 0.0797 0.3301 0.0028
O 0.0933 0.1629 0.1217
O 0.1192 0.9418 0.6325
O 0.2417 0.7851 0.5407
O 0.2828 0.6958 0.2608
O 0.3003 0.2960 0.2430
O 0.3356 0.5468 0.8638
O 0.3365 0.9332 0.8917
O 0.3513 0.4652 0.5660
O 0.3914 0.9448 0.2205
O 0.6086 0.4448 0.7795
O 0.6487 0.9652 0.4340
O 0.6644 0.0468 0.1362
O 0.6635 0.4332 0.1083
O 0.6997 0.7960 0.7570
O 0.7172 0.1958 0.7392
O 0.7583 0.2851 0.4593
O 0.8808 0.4418 0.3675
O 0.9067 0.6629 0.8783
O 0.9203 0.8301 0.9972
O 0.9497 0.5373 0.1051
O 0.9971 0.7996 0.3088
F 0.0432 0.6515 0.4704
F 0.3142 0.0773 0.7123
F 0.3457 0.2283 0.9491
F 0.4442 0.0984 0.3596
F 0.5558 0.5984 0.6404
F 0.6543 0.7283 0.0509
F 0.6858 0.5773 0.2877
F 0.9568 0.1515 0.5296

## Properties
density: 2.2 g cm⁻³
total moment: 0.001 μB/cell
energy: -5.9424 eV per atom
formation enthalpy at 0 K: -2.492 eV per atom

=====

K3P2HO6F2: relaxed, PBE-GGA.

Cell lengths 7.1717, 7.1717, 9.4481 Å; angles 102.05, 102.05, 111.35 degrees
Sites, in units of the cell vectors:
K 0.1294 0.8706 0.5000
K 0.2593 0.5481 0.8093
K 0.5481 0.2593 0.3093
K 0.6852 0.9457 0.6233
K 0.8706 0.1294 0.0000
K 0.9457 0.6852 0.1233
P 0.0827 0.3155 0.3807
P 0.3155 0.0827 0.8807
P 0.5056 0.7314 0.2422
P 0.7314 0.5056 0.7422
H 0.4095 0.4134 0.5623
H 0.4134 0.4095 0.0623
O 0.1071 0.1289 0.2919
O 0.1289 0.1071 0.7919
O 0.2900 0.4843 0.5048
O 0.3421 0.5211 0.1169
O 0.4010 0.8479 0.3223
O 0.4109 0.9595 0.7950
O 0.4843 0.2900 0.0048
O 0.5211 0.3421 0.6169
O 0.6914 0.7104 0.3356
O 0.7104 0.6914 0.8356
O 0.8479 0.4010 0.8223
O 0.9595 0.4109 0.2950
F 0.2192 0.9397 0.9877
F 0.6031 0.8733 0.1366
F 0.8733 0.6031 0.6366
F 0.9397 0.2192 0.4877

## Properties
density: 2.5 g cm⁻³
total moment: 0.000 μB/cell
energy: -5.9111 eV per atom
formation enthalpy at 0 K: -2.624 eV per atom